*a*
DFT (GGA-PBE) results for a relaxed structure of BaCaLaSbO6.

Values from the calculation:
The calculation puts the volume at 15.666 Å³/atom. For the total magnetization, the calculation gives 0.0 μB/f.u. The density comes out at 5.7 g/cm3.

Cell lengths 6.009, 6.074, 8.585 Å; angles 90.45, 90.69, 90.16 degrees
Element x y z (fractional)
Ba: 0.005 0.031 0.251
Ba: 0.995 0.969 0.749
Ca: 0.491 0.540 0.255
Ca: 0.509 0.460 0.745
La: 0.000 0.500 0.500
La: 0.500 0.000 0.000
Sb: 0.000 0.500 0.000
Sb: 0.500 0.000 0.500
O: 0.113 0.500 0.774
O: 0.190 0.768 0.041
O: 0.228 0.809 0.474
O: 0.268 0.314 0.066
O: 0.324 0.278 0.444
O: 0.437 0.063 0.728
O: 0.563 0.937 0.272
O: 0.676 0.722 0.556
O: 0.732 0.686 0.934
O: 0.772 0.191 0.526
O: 0.810 0.232 0.959
O: 0.887 0.500 0.226


*b*
DFT (GGA-PBE) results for a relaxed structure of BaCaLaSbO6.

Values from the calculation:
The calculation puts the volume at 16.270 Å³/atom. For the total magnetization, the calculation gives 0.0 μB/f.u. The density comes out at 5.5 g/cm3.

Cell lengths 6.128, 6.128, 6.128 Å; angles 60.00, 60.00, 60.00 degrees
Element x y z (fractional)
Ba: 0.000 0.000 0.000
Ca: 0.500 0.500 0.500
La: 0.750 0.750 0.750
Sb: 0.250 0.250 0.250
O: 0.019 0.019 0.481
O: 0.019 0.481 0.019
O: 0.019 0.481 0.481
O: 0.481 0.019 0.019
O: 0.481 0.019 0.481
O: 0.481 0.481 0.019


*c*
DFT (GGA-PBE) results for a relaxed structure of BaCaLaSbO6.

Values from the calculation:
The calculation puts the volume at 15.720 Å³/atom. For the total magnetization, the calculation gives 0.0 μB/f.u. The density comes out at 5.6 g/cm3.

Cell lengths 8.539, 8.580, 8.583 Å; angles 90.00, 90.00, 90.00 degrees
Element x y z (fractional)
Ba: 0.250 0.250 0.250
Ba: 0.250 0.250 0.750
Ba: 0.750 0.750 0.250
Ba: 0.750 0.750 0.750
Ca: 0.250 0.750 0.250
Ca: 0.250 0.750 0.750
Ca: 0.750 0.250 0.250
Ca: 0.750 0.250 0.750
La: 0.000 0.000 0.000
La: 0.000 0.500 0.500
La: 0.500 0.000 0.500
La: 0.500 0.500 0.000
Sb: 0.000 0.000 0.500
Sb: 0.000 0.500 0.000
Sb: 0.500 0.000 0.000
Sb: 0.500 0.500 0.500
O: 0.039 0.728 0.058
O: 0.039 0.772 0.442
O: 0.044 0.552 0.772
O: 0.044 0.948 0.728
O: 0.231 0.037 0.472
O: 0.231 0.463 0.028
O: 0.269 0.037 0.028
O: 0.269 0.463 0.472
O: 0.456 0.552 0.728
O: 0.456 0.948 0.772
O: 0.461 0.728 0.442
O: 0.461 0.772 0.058
O: 0.539 0.228 0.942
O: 0.539 0.272 0.558
O: 0.544 0.052 0.228
O: 0.544 0.448 0.272
O: 0.731 0.537 0.528
O: 0.731 0.963 0.972
O: 0.769 0.537 0.972
O: 0.769 0.963 0.528
O: 0.956 0.052 0.272
O: 0.956 0.448 0.228
O: 0.961 0.228 0.558
O: 0.961 0.272 0.942


Ordering by calculated energy gives the sequence *a*, *c*, *b*, with the first entry being the most stable.


*a*
DFT (GGA-PBE) results for a relaxed structure of BaCaNdNbO6.

Values from the calculation:
The calculation puts the volume at 15.305 Å³/atom. For the total magnetization, the calculation gives 0.0 μB/f.u. The density comes out at 5.5 g/cm3.

Cell lengths 5.957, 6.040, 8.509 Å; angles 89.39, 89.33, 89.94 degrees
Element x y z (fractional)
Ba: 0.005 0.035 0.249
Ba: 0.995 0.965 0.751
Ca: 0.489 0.542 0.245
Ca: 0.511 0.458 0.755
Nd: 0.000 0.500 0.000
Nd: 0.500 0.000 0.500
Nb: 0.000 0.500 0.500
Nb: 0.500 0.000 0.000
O: 0.113 0.503 0.728
O: 0.188 0.771 0.458
O: 0.225 0.811 0.030
O: 0.273 0.315 0.435
O: 0.323 0.281 0.059
O: 0.431 0.064 0.770
O: 0.569 0.936 0.230
O: 0.677 0.719 0.941
O: 0.727 0.685 0.565
O: 0.775 0.189 0.970
O: 0.812 0.229 0.542
O: 0.887 0.497 0.272


*b*
DFT (GGA-PBE) results for a relaxed structure of BaCaNdNbO6.

Values from the calculation:
The calculation puts the volume at 16.109 Å³/atom. For the total magnetization, the calculation gives 0.0 μB/f.u. The density comes out at 5.3 g/cm3.

Cell lengths 6.107, 6.107, 6.107 Å; angles 60.00, 60.00, 60.00 degrees
Element x y z (fractional)
Ba: 0.000 0.000 0.000
Ca: 0.500 0.500 0.500
Nd: 0.250 0.250 0.250
Nb: 0.750 0.750 0.750
O: 0.517 0.517 0.983
O: 0.517 0.983 0.517
O: 0.517 0.983 0.983
O: 0.983 0.517 0.517
O: 0.983 0.517 0.983
O: 0.983 0.983 0.517


Ordering by calculated energy gives the sequence *a*, *b*, with the first entry being the most stable.


*a*
DFT (GGA-PBE) results for a relaxed structure of BaCaNdSbO6.

Values from the calculation:
The calculation puts the volume at 15.418 Å³/atom. For the total magnetization, the calculation gives 0.0 μB/f.u. The density comes out at 5.8 g/cm3.

Cell lengths 8.505, 8.514, 8.517 Å; angles 90.00, 90.00, 90.00 degrees
Element x y z (fractional)
Ba: 0.250 0.250 0.250
Ba: 0.250 0.250 0.750
Ba: 0.750 0.750 0.250
Ba: 0.750 0.750 0.750
Ca: 0.250 0.750 0.250
Ca: 0.250 0.750 0.750
Ca: 0.750 0.250 0.250
Ca: 0.750 0.250 0.750
Nd: 0.000 0.000 0.000
Nd: 0.000 0.500 0.500
Nd: 0.500 0.000 0.500
Nd: 0.500 0.500 0.000
Sb: 0.000 0.000 0.500
Sb: 0.000 0.500 0.000
Sb: 0.500 0.000 0.000
Sb: 0.500 0.500 0.500
O: 0.032 0.232 0.474
O: 0.032 0.268 0.026
O: 0.055 0.541 0.230
O: 0.055 0.959 0.270
O: 0.230 0.534 0.941
O: 0.230 0.966 0.559
O: 0.270 0.534 0.559
O: 0.270 0.966 0.941
O: 0.445 0.541 0.270
O: 0.445 0.959 0.230
O: 0.468 0.232 0.026
O: 0.468 0.268 0.474
O: 0.532 0.732 0.526
O: 0.532 0.768 0.974
O: 0.555 0.041 0.770
O: 0.555 0.459 0.730
O: 0.730 0.034 0.059
O: 0.730 0.466 0.441
O: 0.770 0.034 0.441
O: 0.770 0.466 0.059
O: 0.945 0.041 0.730
O: 0.945 0.459 0.770
O: 0.968 0.732 0.974
O: 0.968 0.768 0.526


*b*
DFT (GGA-PBE) results for a relaxed structure of BaCaNdSbO6.

Values from the calculation:
The calculation puts the volume at 15.838 Å³/atom. For the total magnetization, the calculation gives 0.0 μB/f.u. The density comes out at 5.7 g/cm3.

Cell lengths 6.073, 6.073, 6.073 Å; angles 60.00, 60.00, 60.00 degrees
Element x y z (fractional)
Ba: 0.000 0.000 0.000
Ca: 0.500 0.500 0.500
Nd: 0.750 0.750 0.750
Sb: 0.250 0.250 0.250
O: 0.017 0.017 0.483
O: 0.017 0.483 0.017
O: 0.017 0.483 0.483
O: 0.483 0.017 0.017
O: 0.483 0.017 0.483
O: 0.483 0.483 0.017


Ordering by calculated energy gives the sequence *a*, *b*, with the first entry being the most stable.


*a*
DFT (GGA-PBE) results for a relaxed structure of BaCaO2.

Values from the calculation:
The calculation puts the volume at 18.766 Å³/atom. For the total magnetization, the calculation gives 0.0 μB/f.u. The density comes out at 4.6 g/cm3.

Cell lengths 3.760, 3.760, 5.309 Å; angles 90.00, 90.00, 90.00 degrees
Element x y z (fractional)
Ba: 0.000 0.000 0.000
Ca: 0.500 0.500 0.500
O: 0.000 0.000 0.500
O: 0.500 0.500 0.000


*b*
DFT (GGA-PBE) results for a relaxed structure of BaCaO2.

Values from the calculation:
The calculation puts the volume at 18.244 Å³/atom. For the total magnetization, the calculation gives 0.0 μB/f.u. The density comes out at 4.8 g/cm3.

Cell lengths 6.324, 3.764, 12.262 Å; angles 90.00, 90.00, 90.00 degrees
Element x y z (fractional)
Ba: 0.094 0.250 0.142
Ba: 0.406 0.750 0.642
Ba: 0.594 0.250 0.358
Ba: 0.906 0.750 0.858
Ca: 0.091 0.750 0.393
Ca: 0.409 0.250 0.893
Ca: 0.591 0.750 0.107
Ca: 0.909 0.250 0.607
O: 0.151 0.250 0.752
O: 0.216 0.250 0.482
O: 0.284 0.750 0.982
O: 0.349 0.750 0.252
O: 0.651 0.250 0.748
O: 0.716 0.250 0.018
O: 0.784 0.750 0.518
O: 0.849 0.750 0.248


Ordering by calculated energy gives the sequence *b*, *a*, with the first entry being the most stable.